Density functional theory data (PBE) for an optimized crystal structure of Mg6TiSn.

- Total magnetization: 1.25 μB per formula unit
- ΔE to the lowest computed polymorph: 0.04 eV/f.u.

a b c (Å): 5.0069 6.3969 10.8793
angles (deg): 90.00 90.00 90.00
With the nearest neighbours (Å) after each atom.
Fractional positions:
Mg 0.0000 0.2539 0.0842  2 Sn 3.07-3.24, 8 Mg 3.08-3.25, 2 Ti 3.10
Mg 0.0000 0.7461 0.0842  2 Sn 3.07-3.24, 8 Mg 3.08-3.25, 2 Ti 3.10
Mg 0.0000 0.5000 0.8332  10 Mg 3.10-3.16, 2 Sn 3.20
Mg 0.5000 0.2535 0.9188  8 Mg 3.08-3.24, 2 Ti 3.14-3.17, 2 Sn 3.15
Mg 0.5000 0.7465 0.9188  8 Mg 3.08-3.24, 2 Ti 3.14-3.17, 2 Sn 3.15
Mg 0.5000 0.5000 0.6652  10 Mg 3.10-3.18, 2 Ti 3.20
Mg 0.0000 0.7539 0.5842  2 Sn 3.07-3.24, 8 Mg 3.08-3.25, 2 Ti 3.10
Mg 0.0000 0.2461 0.5842  2 Sn 3.07-3.24, 8 Mg 3.08-3.25, 2 Ti 3.10
Mg 0.0000 0.0000 0.3332  10 Mg 3.10-3.16, 2 Sn 3.20
Mg 0.5000 0.7535 0.4188  8 Mg 3.08-3.24, 2 Ti 3.14-3.17, 2 Sn 3.15
Mg 0.5000 0.2465 0.4188  8 Mg 3.08-3.24, 2 Ti 3.14-3.17, 2 Sn 3.15
Mg 0.5000 0.0000 0.1652  10 Mg 3.10-3.18, 2 Ti 3.20
Ti 0.5000 0.5000 0.1690  2 Sn 3.03, 10 Mg 3.10-3.20
Ti 0.5000 0.0000 0.6690  2 Sn 3.03, 10 Mg 3.10-3.20
Sn 0.0000 0.5000 0.3266  2 Ti 3.03, 10 Mg 3.07-3.24
Sn 0.0000 0.0000 0.8266  2 Ti 3.03, 10 Mg 3.07-3.24



Density functional theory data (PBE) for an optimized crystal structure of TmMgSn.

a b c (Å): 4.3676 4.3676 8.4791
angles (deg): 104.92 104.92 90.00
With the nearest neighbours (Å) after each atom.
Fractional positions:
Tm 0.6681 0.6681 0.3362  5 Sn 3.08-3.13, 4 Mg 3.44
Tm 0.3319 0.3319 0.6638  5 Sn 3.08-3.13, 4 Mg 3.44
Mg 0.5000 0.0000 0.0000  4 Sn 3.07, 4 Mg 3.09, 4 Tm 3.44
Mg 0.0000 0.5000 0.0000  4 Sn 3.07, 4 Mg 3.09, 4 Tm 3.44
Sn 0.8633 0.8633 0.7266  4 Mg 3.07, 5 Tm 3.08-3.13
Sn 0.1367 0.1367 0.2734  4 Mg 3.07, 5 Tm 3.08-3.13



Density functional theory data (PBE) for an optimized crystal structure of Mg14VSn.

- Total magnetization: 3.78 μB per formula unit
- ΔE to the lowest computed polymorph: 0.04 eV/f.u.

a b c (Å): 6.2907 6.2907 10.3809
angles (deg): 90.00 90.00 120.00
With the nearest neighbours (Å) after each atom.
Fractional positions:
Mg 0.1671 0.8336 0.1250  10 Mg 3.13-3.16, 2 V 3.15
Mg 0.1654 0.8327 0.6250  10 Mg 3.13-3.22, 2 Sn 3.15
Mg 0.6664 0.3329 0.1250  10 Mg 3.13-3.16, 2 V 3.15
Mg 0.6673 0.3346 0.6250  10 Mg 3.13-3.22, 2 Sn 3.15
Mg 0.6664 0.8336 0.1250  10 Mg 3.13-3.16, 2 V 3.15
Mg 0.6673 0.8327 0.6250  10 Mg 3.13-3.22, 2 Sn 3.15
Mg 0.3314 0.1686 0.3699  10 Mg 3.11-3.22, 1 V 3.11, 1 Sn 3.20
Mg 0.3314 0.1686 0.8801  10 Mg 3.11-3.22, 1 V 3.11, 1 Sn 3.20
Mg 0.3314 0.6628 0.3699  10 Mg 3.11-3.22, 1 V 3.11, 1 Sn 3.20
Mg 0.3314 0.6628 0.8801  10 Mg 3.11-3.22, 1 V 3.11, 1 Sn 3.20
Mg 0.8372 0.1686 0.3699  10 Mg 3.11-3.22, 1 V 3.11, 1 Sn 3.20
Mg 0.8372 0.1686 0.8801  10 Mg 3.11-3.22, 1 V 3.11, 1 Sn 3.20
Mg 0.8333 0.6667 0.3742  12 Mg 3.15-3.17
Mg 0.8333 0.6667 0.8758  12 Mg 3.15-3.17
V 0.1667 0.3333 0.1250  12 Mg 3.11-3.15
Sn 0.1667 0.3333 0.6250  12 Mg 3.15-3.20



Density functional theory data (PBE) for an optimized crystal structure of Mg14VSn.

- Total magnetization: 3.47 μB per formula unit
- ΔE to the lowest computed polymorph: 0.00 eV/f.u.

a b c (Å): 6.3228 6.2394 10.3447
angles (deg): 90.00 90.00 119.56
With the nearest neighbours (Å) after each atom.
Fractional positions:
Mg 0.1665 0.3333 0.6250  12 Mg 3.12-3.17
Mg 0.1666 0.8333 0.6250  12 Mg 3.12-3.18
Mg 0.6673 0.3329 0.1250  8 Mg 3.11-3.17, 2 V 3.15-3.17, 2 Sn 3.16-3.17
Mg 0.6664 0.3333 0.6250  12 Mg 3.12-3.19
Mg 0.6673 0.8344 0.1250  8 Mg 3.11-3.17, 2 V 3.15-3.17, 2 Sn 3.16-3.17
Mg 0.6664 0.8331 0.6250  12 Mg 3.12-3.19
Mg 0.3322 0.1693 0.3735  10 Mg 3.08-3.19, 1 V 3.13, 1 Sn 3.15
Mg 0.3322 0.1693 0.8765  10 Mg 3.08-3.19, 1 V 3.13, 1 Sn 3.15
Mg 0.3322 0.6629 0.3735  10 Mg 3.08-3.19, 1 V 3.13, 1 Sn 3.15
Mg 0.3322 0.6629 0.8765  10 Mg 3.08-3.19, 1 V 3.13, 1 Sn 3.15
Mg 0.8371 0.1685 0.3739  11 Mg 3.12-3.19, 1 V 3.15
Mg 0.8371 0.1685 0.8761  11 Mg 3.12-3.19, 1 V 3.15
Mg 0.8325 0.6663 0.3769  11 Mg 3.12-3.17, 1 Sn 3.19
Mg 0.8325 0.6663 0.8731  11 Mg 3.12-3.17, 1 Sn 3.19
V 0.1656 0.3328 0.1250  2 Sn 3.12, 10 Mg 3.13-3.17
Sn 0.1657 0.8328 0.1250  2 V 3.12, 10 Mg 3.15-3.19



Density functional theory data (PBE) for an optimized crystal structure of Mg6VSn.

- Total magnetization: 3.24 μB per formula unit
- ΔE to the lowest computed polymorph: 0.00 eV/f.u.

a b c (Å): 5.0259 6.3666 10.7972
angles (deg): 90.00 90.00 90.00
With the nearest neighbours (Å) after each atom.
Fractional positions:
Mg 0.0000 0.2476 0.0821  8 Mg 3.10-3.21, 2 V 3.12-3.14, 2 Sn 3.14
Mg 0.0000 0.7524 0.0821  8 Mg 3.10-3.21, 2 V 3.12-3.14, 2 Sn 3.14
Mg 0.0000 0.5000 0.8343  10 Mg 3.09-3.15, 2 V 3.18
Mg 0.5000 0.2446 0.9147  2 Sn 3.04-3.22, 2 V 3.09, 8 Mg 3.10-3.25
Mg 0.5000 0.7554 0.9147  2 Sn 3.04-3.22, 2 V 3.09, 8 Mg 3.10-3.25
Mg 0.5000 0.5000 0.6672  10 Mg 3.09-3.14, 2 Sn 3.18
Mg 0.0000 0.7476 0.5821  8 Mg 3.10-3.21, 2 V 3.12-3.14, 2 Sn 3.14
Mg 0.0000 0.2524 0.5821  8 Mg 3.10-3.21, 2 V 3.12-3.14, 2 Sn 3.14
Mg 0.0000 0.0000 0.3343  10 Mg 3.09-3.15, 2 V 3.18
Mg 0.5000 0.7446 0.4147  2 Sn 3.04-3.22, 2 V 3.09, 8 Mg 3.10-3.25
Mg 0.5000 0.2554 0.4147  2 Sn 3.04-3.22, 2 V 3.09, 8 Mg 3.10-3.25
Mg 0.5000 0.0000 0.1672  10 Mg 3.09-3.14, 2 Sn 3.18
V 0.0000 0.5000 0.3323  2 Sn 3.05, 10 Mg 3.09-3.18
V 0.0000 0.0000 0.8323  2 Sn 3.05, 10 Mg 3.09-3.18
Sn 0.5000 0.5000 0.1725  10 Mg 3.04-3.22, 2 V 3.05
Sn 0.5000 0.0000 0.6725  10 Mg 3.04-3.22, 2 V 3.05



Density functional theory data (PBE) for an optimized crystal structure of Mg6VSn.

- Total magnetization: 2.97 μB per formula unit
- ΔE to the lowest computed polymorph: 0.06 eV/f.u.

a b c (Å): 5.0883 6.0903 11.0518
angles (deg): 90.00 90.00 90.00
With the nearest neighbours (Å) after each atom.
Fractional positions:
Mg 0.5000 0.2492 0.4173  8 Mg 3.04-3.14, 2 V 3.15-3.16, 2 Sn 3.15-3.16
Mg 0.5000 0.7508 0.4173  8 Mg 3.04-3.14, 2 V 3.15-3.16, 2 Sn 3.15-3.16
Mg 0.0000 0.7601 0.0832  8 Mg 2.92-3.23, 2 V 3.08, 2 Sn 3.14
Mg 0.0000 0.2399 0.0832  8 Mg 2.92-3.23, 2 V 3.08, 2 Sn 3.14
Mg 0.0000 0.0000 0.3280  10 Mg 3.05-3.23, 2 V 3.10
Mg 0.0000 0.5000 0.3356  10 Mg 3.05-3.21, 2 Sn 3.15
Mg 0.5000 0.7492 0.9173  8 Mg 3.04-3.14, 2 V 3.15-3.16, 2 Sn 3.15-3.16
Mg 0.5000 0.2508 0.9173  8 Mg 3.04-3.14, 2 V 3.15-3.16, 2 Sn 3.15-3.16
Mg 0.0000 0.2601 0.5832  8 Mg 2.92-3.23, 2 V 3.08, 2 Sn 3.14
Mg 0.0000 0.7399 0.5832  8 Mg 2.92-3.23, 2 V 3.08, 2 Sn 3.14
Mg 0.0000 0.5000 0.8280  10 Mg 3.05-3.23, 2 V 3.10
Mg 0.0000 0.0000 0.8356  10 Mg 3.05-3.21, 2 Sn 3.15
V 0.5000 0.0000 0.1677  2 Sn 3.05, 10 Mg 3.08-3.16
V 0.5000 0.5000 0.6677  2 Sn 3.05, 10 Mg 3.08-3.16
Sn 0.5000 0.5000 0.1676  2 V 3.05, 10 Mg 3.14-3.16
Sn 0.5000 0.0000 0.6676  2 V 3.05, 10 Mg 3.14-3.16



How do the records compare in energy of formation? In the order shown, they have 0.1, -1.6, 0.7, 0.7, 0.6, 0.7 eV/f.u..
How do the records compare in E? In the order shown, they have -21.4, -11.7, -34.8, -34.8, -22.1, -22.0 eV/f.u..